# 1
{
  "formula": "Er2Se3",
  "functional": "PBE",
  "state": "optimized geometry",
  "sg": "I-42d, No. 122",
  "e_form_ev_per_atom": -2.082,
  "cell": [[3.431, -1.799, 13.783], [-8.011, 1.936, 11.708], [0.446, -5.883, -13.045]],
  "species": ["Er", "Er", "Er", "Er", "Er", "Er", "Er", "Er", "Er", "Er", "Er", "Er", "Er", "Er", "Er", "Er", "Se", "Se", "Se", "Se", "Se", "Se", "Se", "Se", "Se", "Se", "Se", "Se", "Se", "Se", "Se", "Se", "Se", "Se", "Se", "Se", "Se", "Se", "Se", "Se"],
  "fractional_positions": [[0.577, 0.471, 0.626], [0.167, 0.167, 0.000], [0.875, 0.508, 0.133], [0.173, 0.299, 0.394], [0.583, 0.083, 0.500], [0.905, 0.779, 0.606], [0.375, 0.742, 0.867], [0.221, 0.827, 0.126], [0.492, 0.625, 0.367], [0.917, 0.417, 0.500], [0.258, 0.125, 0.633], [0.701, 0.095, 0.874], [0.833, 0.833, 0.000], [0.529, 0.155, 0.106], [0.845, 0.951, 0.374], [0.049, 0.423, 0.894], [0.075, 0.828, 0.614], [0.865, 0.250, 0.745], [0.505, 0.119, 0.255], [0.885, 0.131, 0.885], [0.245, 0.000, 0.115], [0.214, 0.461, 0.386], [0.536, 0.422, 0.747], [0.404, 0.160, 0.598], [0.195, 0.596, 0.756], [0.675, 0.789, 0.253], [0.840, 0.439, 0.244], [0.211, 0.464, 0.886], [0.578, 0.325, 0.114], [0.561, 0.805, 0.402], [0.869, 0.755, 0.755], [0.750, 0.495, 0.615], [0.539, 0.925, 0.753], [0.000, 0.115, 0.245], [0.555, 0.811, 0.902], [0.172, 0.786, 0.247], [0.910, 0.654, 0.098], [0.881, 0.135, 0.385], [0.189, 0.090, 0.744], [0.346, 0.445, 0.256]]
}

=====

# 2
{
  "formula": "Er5Si4",
  "functional": "PBE",
  "state": "optimized geometry",
  "sg": "Pnma, No. 62",
  "e_form_ev_per_atom": -0.714,
  "cell": [[7.358, 0.000, 0.000], [0.000, 7.633, 0.000], [0.000, 0.000, 14.419]],
  "species": ["Er", "Er", "Er", "Er", "Er", "Er", "Er", "Er", "Er", "Er", "Er", "Er", "Er", "Er", "Er", "Er", "Er", "Er", "Er", "Er", "Si", "Si", "Si", "Si", "Si", "Si", "Si", "Si", "Si", "Si", "Si", "Si", "Si", "Si", "Si", "Si"],
  "fractional_positions": [[0.029, 0.817, 0.598], [0.529, 0.683, 0.598], [0.316, 0.821, 0.123], [0.816, 0.679, 0.123], [0.853, 0.512, 0.750], [0.471, 0.317, 0.098], [0.029, 0.817, 0.902], [0.471, 0.317, 0.402], [0.647, 0.012, 0.250], [0.529, 0.683, 0.902], [0.684, 0.179, 0.877], [0.184, 0.321, 0.623], [0.184, 0.321, 0.877], [0.816, 0.679, 0.377], [0.316, 0.821, 0.377], [0.353, 0.988, 0.750], [0.684, 0.179, 0.623], [0.147, 0.488, 0.250], [0.971, 0.183, 0.098], [0.971, 0.183, 0.402], [0.646, 0.972, 0.459], [0.234, 0.629, 0.750], [0.354, 0.028, 0.541], [0.019, 0.896, 0.250], [0.734, 0.871, 0.750], [0.266, 0.129, 0.250], [0.854, 0.472, 0.541], [0.481, 0.396, 0.750], [0.146, 0.528, 0.459], [0.146, 0.528, 0.041], [0.981, 0.104, 0.750], [0.766, 0.371, 0.250], [0.354, 0.028, 0.959], [0.854, 0.472, 0.959], [0.646, 0.972, 0.041], [0.519, 0.604, 0.250]]
}

=====

# 3
{
  "formula": "Er5Si4",
  "functional": "PBE",
  "state": "optimized geometry",
  "sg": "P2_1/c, No. 14",
  "e_form_ev_per_atom": -0.713,
  "cell": [[7.599, 0.000, 0.000], [0.000, 7.420, 0.000], [0.000, 0.878, 14.430]],
  "species": ["Er", "Er", "Er", "Er", "Er", "Er", "Er", "Er", "Er", "Er", "Er", "Er", "Er", "Er", "Er", "Er", "Er", "Er", "Er", "Er", "Si", "Si", "Si", "Si", "Si", "Si", "Si", "Si", "Si", "Si", "Si", "Si", "Si", "Si", "Si", "Si"],
  "fractional_positions": [[0.822, 0.327, 0.378], [0.322, 0.173, 0.622], [0.178, 0.673, 0.622], [0.678, 0.827, 0.378], [0.666, 0.855, 0.120], [0.166, 0.645, 0.880], [0.334, 0.145, 0.880], [0.834, 0.355, 0.120], [0.683, 0.522, 0.601], [0.183, 0.978, 0.399], [0.317, 0.478, 0.399], [0.817, 0.022, 0.601], [0.681, 0.495, 0.901], [0.181, 0.005, 0.099], [0.319, 0.505, 0.099], [0.819, 0.995, 0.901], [0.505, 0.826, 0.754], [0.005, 0.674, 0.246], [0.495, 0.174, 0.246], [0.995, 0.326, 0.754], [0.972, 0.647, 0.459], [0.472, 0.853, 0.541], [0.028, 0.353, 0.541], [0.528, 0.147, 0.459], [0.965, 0.703, 0.042], [0.465, 0.797, 0.958], [0.035, 0.297, 0.958], [0.535, 0.203, 0.042], [0.869, 0.711, 0.748], [0.369, 0.789, 0.252], [0.131, 0.289, 0.252], [0.631, 0.211, 0.748], [0.392, 0.455, 0.748], [0.892, 0.045, 0.252], [0.608, 0.545, 0.252], [0.108, 0.955, 0.748]]
}

=====

# 4
{
  "formula": "SmEr3",
  "functional": "PBE",
  "state": "optimized geometry",
  "sg": "I4/mmm, No. 139",
  "e_form_ev_per_atom": 0.028,
  "de_polymorph_mev_per_atom": 14,
  "cell": [[-2.503, 2.503, 4.987], [2.503, -2.503, 4.987], [2.503, 2.503, -4.987]],
  "species": ["Sm", "Er", "Er", "Er"],
  "fractional_positions": [[0.000, 0.000, 0.000], [0.750, 0.250, 0.500], [0.250, 0.750, 0.500], [0.500, 0.500, 0.000]]
}

=====

# 5
{
  "formula": "SmEr3",
  "functional": "PBE",
  "state": "optimized geometry",
  "sg": "P6_3/mmc, No. 194",
  "e_form_ev_per_atom": 0.014,
  "de_polymorph_mev_per_atom": 0,
  "cell": [[3.603, -6.240, 0.000], [3.603, 6.240, 0.000], [0.000, 0.000, 5.642]],
  "species": ["Sm", "Sm", "Er", "Er", "Er", "Er", "Er", "Er"],
  "fractional_positions": [[0.333, 0.667, 0.750], [0.667, 0.333, 0.250], [0.165, 0.331, 0.250], [0.669, 0.835, 0.250], [0.165, 0.835, 0.250], [0.835, 0.669, 0.750], [0.331, 0.165, 0.750], [0.835, 0.165, 0.750]]
}

=====

# 6
{
  "formula": "Sm3Er",
  "functional": "PBE",
  "state": "optimized geometry",
  "sg": "Pm-3m, No. 221",
  "e_form_ev_per_atom": 0.011,
  "de_polymorph_mev_per_atom": 0,
  "cell": [[-3.215, 3.914, -0.470], [-0.527, -1.029, -4.954], [-3.907, -3.082, 1.056]],
  "species": ["Sm", "Sm", "Sm", "Er"],
  "fractional_positions": [[0.000, 0.500, 0.500], [0.500, 0.000, 0.500], [0.500, 0.500, 0.000], [0.000, 0.000, 0.000]]
}